# Mg4Ta2O9 r2SCAN relaxed
# - Crystal system: trigonal
# - Uncorrected energy: -428.48 eV per cell
# - Energy relative to the elements: -3.109 eV/atom
# - Spin magnetization: 0.00 μB per atom
data_Mg4Ta2O9
_space_group_name_H-M_alt 'P -3 c 1'
_space_group_IT_number 165
_space_group_name_Hall '-P 3 2"c'
_cell_length_a 5.1588
_cell_length_b 5.1588
_cell_length_c 14.0273
_cell_angle_alpha 90.00
_cell_angle_beta 90.00
_cell_angle_gamma 120.00
loop_
_atom_site_label
_atom_site_type_symbol
_atom_site_fract_x
_atom_site_fract_y
_atom_site_fract_z
Mg1 Mg 0.3333 0.6667 0.0163
Mg2 Mg 0.3333 0.6667 0.3092
Ta1 Ta 0.0000 0.0000 0.1425
O1 O 0.0000 0.2889 0.2500
O2 O 0.0289 0.3474 0.9155

=====

# LuMgTl r2SCAN relaxed
# - Crystal system: hexagonal
# - Uncorrected energy: -289.49 eV per cell
# - Energy relative to the elements: -0.356 eV/atom
# - Spin magnetization: 0.00 μB per atom
data_LuMgTl
_space_group_name_H-M_alt 'P -6 2 m'
_space_group_IT_number 189
_space_group_name_Hall 'P -6 -2'
_cell_length_a 7.4005
_cell_length_b 7.4005
_cell_length_c 4.5574
_cell_angle_alpha 90.00
_cell_angle_beta 90.00
_cell_angle_gamma 120.00
loop_
_atom_site_label
_atom_site_type_symbol
_atom_site_fract_x
_atom_site_fract_y
_atom_site_fract_z
Lu1 Lu 0.0000 0.5687 0.0000
Mg1 Mg 0.0000 0.2434 0.5000
Tl1 Tl 0.0000 0.0000 0.0000
Tl2 Tl 0.3333 0.6667 0.5000

=====

# Y4Si5Rh9 r2SCAN relaxed
# - Crystal system: trigonal
# - Uncorrected energy: -1085.46 eV per cell
# - Energy relative to the elements: -1.082 eV/atom
# - Spin magnetization: 0.00 μB per atom
data_Y4Si5Rh9
_space_group_name_H-M_alt 'R -3 m'
_space_group_IT_number 166
_space_group_name_Hall '-R 3 2"'
_cell_length_a 5.5112
_cell_length_b 5.5112
_cell_length_c 33.4849
_cell_angle_alpha 90.00
_cell_angle_beta 90.00
_cell_angle_gamma 120.00
loop_
_atom_site_label
_atom_site_type_symbol
_atom_site_fract_x
_atom_site_fract_y
_atom_site_fract_z
Y1 Y 0.0000 0.0000 0.0511
Y2 Y 0.0000 0.0000 0.1488
Si1 Si 0.0000 0.0000 0.2783
Si2 Si 0.0000 0.0000 0.3882
Si3 Si 0.0000 0.0000 0.5000
Rh1 Rh 0.0000 0.5000 0.0000
Rh2 Rh 0.0008 0.5004 0.1081

=====

# LuSi2Rh2 r2SCAN relaxed
# - Crystal system: tetragonal
# - Uncorrected energy: -219.46 eV per cell
# - Energy relative to the elements: -1.166 eV/atom
# - Spin magnetization: 0.00 μB per atom
data_LuSi2Rh2
_space_group_name_H-M_alt 'I 4/m m m'
_space_group_IT_number 139
_space_group_name_Hall '-I 4 2'
_cell_length_a 4.005
_cell_length_b 4.005
_cell_length_c 9.851
_cell_angle_alpha 90.00
_cell_angle_beta 90.00
_cell_angle_gamma 90.00
loop_
_atom_site_label
_atom_site_type_symbol
_atom_site_fract_x
_atom_site_fract_y
_atom_site_fract_z
Lu1 Lu 0.000 0.000 0.000
Si1 Si 0.000 0.000 0.380
Rh1 Rh 0.000 0.500 0.250

=====

# EuGaSn r2SCAN relaxed
# - Crystal system: hexagonal
# - Uncorrected energy: -306.97 eV per cell
# - Energy relative to the elements: -0.678 eV/atom
# - Spin magnetization: 2.34 μB per atom
data_EuGaSn
_space_group_name_H-M_alt 'P 63/m m c'
_space_group_IT_number 194
_space_group_name_Hall '-P 6c 2c'
_cell_length_a 4.5261
_cell_length_b 4.5261
_cell_length_c 18.1271
_cell_angle_alpha 90.00
_cell_angle_beta 90.00
_cell_angle_gamma 120.00
loop_
_atom_site_label
_atom_site_type_symbol
_atom_site_fract_x
_atom_site_fract_y
_atom_site_fract_z
Eu1 Eu 0.0000 0.0000 0.0000
Eu2 Eu 0.0000 0.0000 0.2500
Ga1 Ga 0.3333 0.6667 0.1627
Sn1 Sn 0.3333 0.6667 0.6156

=====

# RuCl2O r2SCAN relaxed
# - Crystal system: orthorhombic
# - Uncorrected energy: -94.32 eV per cell
# - Energy relative to the elements: -0.864 eV/atom
# - Spin magnetization: 0.06 μB per atom
data_RuCl2O
_space_group_name_H-M_alt 'I m m m'
_space_group_IT_number 71
_space_group_name_Hall '-I 2 2'
_cell_length_a 3.546
_cell_length_b 3.657
_cell_length_c 11.578
_cell_angle_alpha 90.00
_cell_angle_beta 90.00
_cell_angle_gamma 90.00
loop_
_atom_site_label
_atom_site_type_symbol
_atom_site_fract_x
_atom_site_fract_y
_atom_site_fract_z
Ru1 Ru 0.000 0.000 0.000
Cl1 Cl 0.000 0.500 0.361
O1 O 0.000 0.500 0.000

=====

# Ba r2SCAN relaxed
# - Crystal system: tetragonal
# - Uncorrected energy: -210.32 eV per cell
# - Energy relative to the elements: 0.209 eV/atom
# - Spin magnetization: 0.00 μB per atom
data_Ba
_space_group_name_H-M_alt 'I 4/m c m'
_space_group_IT_number 140
_space_group_name_Hall '-I 4 2c'
_cell_length_a 8.262
_cell_length_b 8.262
_cell_length_c 7.674
_cell_angle_alpha 90.00
_cell_angle_beta 90.00
_cell_angle_gamma 90.00
loop_
_atom_site_label
_atom_site_type_symbol
_atom_site_fract_x
_atom_site_fract_y
_atom_site_fract_z
Ba1 Ba 0.182 0.318 0.000

=====

# ErNiGe r2SCAN relaxed
# - Crystal system: orthorhombic
# - Uncorrected energy: -249.38 eV per cell
# - Energy relative to the elements: -0.855 eV/atom
# - Spin magnetization: 0.00 μB per atom
data_ErNiGe
_space_group_name_H-M_alt 'P n m a'
_space_group_IT_number 62
_space_group_name_Hall '-P 2ac 2n'
_cell_length_a 6.813
_cell_length_b 4.176
_cell_length_c 7.196
_cell_angle_alpha 90.00
_cell_angle_beta 90.00
_cell_angle_gamma 90.00
loop_
_atom_site_label
_atom_site_type_symbol
_atom_site_fract_x
_atom_site_fract_y
_atom_site_fract_z
Er1 Er 0.008 0.250 0.207
Ni1 Ni 0.192 0.750 0.418
Ge1 Ge 0.198 0.250 0.589